Record 1
Crystalline Li3FeP2O8 at its relaxed geometry. Source: the Materials Project, functional PBE with a Hubbard U.

Output
Energy of formation (eV per atom): -2.510
Total magnetic moment (μB per formula unit): 5.0
Uncorrected energy (eV/cell): -276.0
SG: R3
Excess energy over the best structure of this formula in the dataset (eV per formula unit): 0.72

a = 8.505 Å, b = 8.505 Å, c = 8.505 Å
α = 63.08°, β = 63.08°, γ = 63.08°
Fractional coordinates of all 42 atoms:
Li  0.000  0.000  0.000
Li  0.012  0.341  0.831
Li  0.146  0.146  0.146
Li  0.303  0.911  0.500
Li  0.341  0.831  0.012
Li  0.500  0.303  0.911
Li  0.657  0.657  0.657
Li  0.831  0.012  0.341
Li  0.911  0.500  0.303
Fe  0.300  0.300  0.300
Fe  0.510  0.510  0.510
Fe  0.801  0.801  0.801
P  0.108  0.701  0.409
P  0.205  0.607  0.907
P  0.409  0.108  0.701
P  0.607  0.907  0.205
P  0.701  0.409  0.108
P  0.907  0.205  0.607
O  0.041  0.646  0.848
O  0.064  0.220  0.413
O  0.108  0.884  0.247
O  0.139  0.537  0.353
O  0.182  0.763  0.964
O  0.220  0.413  0.064
O  0.247  0.108  0.884
O  0.263  0.657  0.483
O  0.353  0.139  0.537
O  0.400  0.575  0.752
O  0.413  0.064  0.220
O  0.483  0.263  0.657
O  0.537  0.353  0.139
O  0.558  0.911  0.731
O  0.575  0.752  0.400
O  0.646  0.848  0.041
O  0.657  0.483  0.263
O  0.731  0.558  0.911
O  0.752  0.400  0.575
O  0.763  0.964  0.182
O  0.848  0.041  0.646
O  0.884  0.247  0.108
O  0.911  0.731  0.558
O  0.964  0.182  0.763

---

Record 2
Crystalline Li12VFe3P4C4O28 at its relaxed geometry. Source: the Materials Project, functional PBE with a Hubbard U.

Output
Energy of formation (eV per atom): -2.360
Total magnetic moment (μB per formula unit): 15.0
Uncorrected energy (eV/cell): -349.5
SG: Pm

a = 8.495 Å, b = 6.533 Å, c = 10.058 Å
α = 90.00°, β = 95.18°, γ = 90.00°
Fractional coordinates of all 52 atoms:
Li  0.000  0.000  0.000
Li  0.002  0.000  0.500
Li  0.182  0.224  0.257
Li  0.182  0.225  0.756
Li  0.182  0.775  0.756
Li  0.182  0.776  0.257
Li  0.630  0.271  0.505
Li  0.630  0.729  0.505
Li  0.631  0.272  0.006
Li  0.631  0.728  0.006
Li  0.811  0.500  0.763
Li  0.814  0.500  0.263
V  0.237  0.500  0.485
Fe  0.240  0.500  0.987
Fe  0.572  0.000  0.275
Fe  0.572  0.000  0.775
P  0.317  0.000  0.520
P  0.318  0.000  0.021
P  0.494  0.500  0.740
P  0.495  0.500  0.242
C  0.872  0.000  0.232
C  0.872  0.000  0.732
C  0.940  0.500  0.031
C  0.942  0.500  0.532
O  0.018  0.000  0.202
O  0.018  0.000  0.703
O  0.054  0.500  0.127
O  0.056  0.500  0.628
O  0.214  0.183  0.467
O  0.214  0.817  0.467
O  0.216  0.187  0.968
O  0.216  0.813  0.968
O  0.328  0.500  0.791
O  0.329  0.500  0.292
O  0.335  0.000  0.177
O  0.336  0.000  0.677
O  0.476  0.500  0.086
O  0.477  0.500  0.584
O  0.485  0.000  0.471
O  0.485  0.000  0.972
O  0.596  0.313  0.793
O  0.596  0.687  0.793
O  0.597  0.313  0.295
O  0.597  0.687  0.295
O  0.758  0.000  0.136
O  0.758  0.000  0.636
O  0.794  0.500  0.060
O  0.796  0.500  0.559
O  0.836  0.000  0.354
O  0.836  0.000  0.854
O  0.976  0.500  0.909
O  0.981  0.500  0.409

---

Record 3
Crystalline EuVO2 at its relaxed geometry. Source: the Materials Project, functional PBE with a Hubbard U.

Output
Energy of formation (eV per atom): -2.370
Total magnetic moment (μB per formula unit): 9.9
Uncorrected energy (eV/cell): -142.6
SG: I4_1/amd

a = 7.387 Å, b = 7.387 Å, c = 7.387 Å
α = 128.70°, β = 128.70°, γ = 75.49°
Fractional coordinates of all 16 atoms:
Eu  0.000  0.000  0.000
Eu  0.000  0.000  0.500
Eu  0.000  0.500  0.000
Eu  0.500  0.000  0.500
V  0.000  0.500  0.500
V  0.500  0.000  0.000
V  0.500  0.500  0.000
V  0.500  0.500  0.500
O  0.215  0.252  0.538
O  0.215  0.677  0.962
O  0.252  0.215  0.038
O  0.323  0.785  0.538
O  0.677  0.215  0.462
O  0.748  0.785  0.962
O  0.785  0.323  0.038
O  0.785  0.748  0.462

---

Record 4
Crystalline Na2CoP2O7 at its relaxed geometry. Source: the Materials Project, functional PBE with a Hubbard U.

Output
Energy of formation (eV per atom): -2.466
Total magnetic moment (μB per formula unit): 0.0
Uncorrected energy (eV/cell): -313.5
Piezoelectric modulus e_max (C/m2): 0.27
Excess energy over the best structure of this formula in the dataset (eV per formula unit): 0.07

a = 7.871 Å, b = 7.871 Å, c = 10.297 Å
α = 90.00°, β = 90.00°, γ = 90.00°
Fractional coordinates of all 48 atoms:
Na  0.833  0.333  0.245
Na  0.833  0.333  0.745
Na  0.667  0.833  0.255
Na  0.667  0.833  0.755
Na  0.167  0.667  0.245
Na  0.167  0.667  0.745
Na  0.333  0.167  0.255
Na  0.333  0.167  0.755
Co  0.500  0.500  0.500
Co  0.000  0.000  0.000
Co  0.500  0.500  0.000
Co  0.000  0.000  0.500
P  0.638  0.138  0.036
P  0.638  0.138  0.536
P  0.862  0.638  0.464
P  0.862  0.638  0.964
P  0.362  0.862  0.036
P  0.362  0.862  0.536
P  0.138  0.362  0.464
P  0.138  0.362  0.964
O  0.000  0.500  0.409
O  0.000  0.500  0.909
O  0.500  0.000  0.091
O  0.500  0.000  0.591
O  0.640  0.140  0.389
O  0.640  0.140  0.889
O  0.860  0.640  0.111
O  0.860  0.640  0.611
O  0.360  0.860  0.389
O  0.360  0.860  0.889
O  0.140  0.360  0.111
O  0.140  0.360  0.611
O  0.304  0.420  0.397
O  0.304  0.420  0.897
O  0.196  0.920  0.103
O  0.196  0.920  0.603
O  0.696  0.580  0.397
O  0.696  0.580  0.897
O  0.804  0.080  0.103
O  0.804  0.080  0.603
O  0.580  0.304  0.103
O  0.580  0.304  0.603
O  0.920  0.804  0.397
O  0.920  0.804  0.897
O  0.420  0.696  0.103
O  0.420  0.696  0.603
O  0.080  0.196  0.397
O  0.080  0.196  0.897

---

Record 5
Crystalline CaV4Pd3O12 at its relaxed geometry. Source: the Materials Project, functional PBE with a Hubbard U.

Output
Energy of formation (eV per atom): -1.966
Total magnetic moment (μB per formula unit): 4.0
Uncorrected energy (eV/cell): -137.5
SG: Im-3

a = 6.524 Å, b = 6.524 Å, c = 6.524 Å
α = 109.47°, β = 109.47°, γ = 109.47°
Fractional coordinates of all 20 atoms:
Ca  0.000  0.000  0.000
V  0.000  0.000  0.500
V  0.000  0.500  0.000
V  0.500  0.000  0.000
V  0.500  0.500  0.500
Pd  0.000  0.500  0.500
Pd  0.500  0.000  0.500
Pd  0.500  0.500  0.000
O  0.115  0.296  0.819
O  0.181  0.477  0.296
O  0.181  0.885  0.704
O  0.296  0.181  0.477
O  0.296  0.819  0.115
O  0.477  0.296  0.181
O  0.523  0.704  0.819
O  0.704  0.181  0.885
O  0.704  0.819  0.523
O  0.819  0.115  0.296
O  0.819  0.523  0.704
O  0.885  0.704  0.181

---

Record 6
Crystalline Co3O2F4 at its relaxed geometry. Source: the Materials Project, functional PBE with a Hubbard U.

Output
Energy of formation (eV per atom): -1.831
Total magnetic moment (μB per formula unit): 7.5
Uncorrected energy (eV/cell): -94.4
SG: Pnnm
Excess energy over the best structure of this formula in the dataset (eV per formula unit): 0.44

a = 4.715 Å, b = 14.054 Å, c = 3.123 Å
α = 90.00°, β = 90.00°, γ = 90.00°
Fractional coordinates of all 18 atoms:
Co  0.000  0.000  0.000
Co  0.072  0.341  0.000
Co  0.428  0.841  0.500
Co  0.500  0.500  0.500
Co  0.572  0.159  0.500
Co  0.928  0.659  0.000
O  0.238  0.402  0.500
O  0.262  0.902  0.000
O  0.738  0.098  0.000
O  0.762  0.598  0.500
F  0.130  0.731  0.500
F  0.218  0.066  0.500
F  0.282  0.566  0.000
F  0.370  0.231  0.000
F  0.630  0.769  0.000
F  0.718  0.434  0.000
F  0.782  0.934  0.500
F  0.870  0.269  0.500

---

Record 7
Crystalline MgTa4Mn4Nb4O24 at its relaxed geometry. Source: the Materials Project, functional PBE with a Hubbard U.

Output
Energy of formation (eV per atom): -2.888
Total magnetic moment (μB per formula unit): 22.0
Uncorrected energy (eV/cell): -328.5
SG: P1
Excess energy over the best structure of this formula in the dataset (eV per formula unit): 0.70

a = 5.245 Å, b = 6.065 Å, c = 14.747 Å
α = 89.66°, β = 85.20°, γ = 89.35°
Fractional coordinates of all 37 atoms:
Mg  0.000  0.000  0.000
Ta  0.109  0.681  0.609
Ta  0.207  0.690  0.296
Ta  0.581  0.520  0.780
Ta  0.726  0.527  0.123
Mn  0.149  0.509  0.952
Mn  0.158  0.186  0.453
Mn  0.535  0.006  0.906
Mn  0.656  0.519  0.453
Nb  0.064  0.190  0.772
Nb  0.257  0.211  0.139
Nb  0.602  0.020  0.609
Nb  0.714  0.024  0.299
O  0.040  0.995  0.212
O  0.058  0.496  0.203
O  0.259  0.483  0.703
O  0.270  0.983  0.696
O  0.327  0.479  0.372
O  0.357  0.024  0.037
O  0.357  0.952  0.355
O  0.360  0.274  0.852
O  0.409  0.711  0.865
O  0.433  0.469  0.059
O  0.445  0.744  0.549
O  0.483  0.228  0.532
O  0.547  0.728  0.213
O  0.579  0.242  0.203
O  0.739  0.226  0.706
O  0.766  0.719  0.694
O  0.827  0.229  0.377
O  0.869  0.747  0.358
O  0.872  0.457  0.846
O  0.886  0.717  0.036
O  0.922  0.014  0.873
O  0.945  0.285  0.056
O  0.958  0.948  0.552
O  0.988  0.475  0.534

---

Record 8
Crystalline LaMgTaCrO6 at its relaxed geometry. Source: the Materials Project, functional PBE with a Hubbard U.

Output
Energy of formation (eV per atom): -3.133
Total magnetic moment (μB per formula unit): 4.0
Uncorrected energy (eV/cell): -165.9
SG: Pc

a = 5.341 Å, b = 5.538 Å, c = 10.077 Å
α = 90.00°, β = 121.50°, γ = 90.00°
Fractional coordinates of all 20 atoms:
La  0.000  0.203  0.000
La  0.000  0.797  0.500
Mg  0.437  0.303  0.485
Mg  0.437  0.697  0.985
Ta  0.726  0.257  0.248
Ta  0.726  0.743  0.748
Cr  0.238  0.245  0.750
Cr  0.238  0.755  0.250
O  0.021  0.473  0.826
O  0.021  0.527  0.326
O  0.086  0.058  0.306
O  0.086  0.942  0.806
O  0.382  0.465  0.190
O  0.382  0.535  0.690
O  0.463  0.047  0.663
O  0.463  0.953  0.163
O  0.615  0.330  0.029
O  0.615  0.670  0.529
O  0.774  0.202  0.454
O  0.774  0.798  0.954

---

Record 9
Crystalline Na3Li3Mn2P2C2O14 at its relaxed geometry. Source: the Materials Project, functional PBE with a Hubbard U.

Output
Energy of formation (eV per atom): -2.388
Total magnetic moment (μB per formula unit): 10.0
Uncorrected energy (eV/cell): -351.4
SG: P1
Excess energy over the best structure of this formula in the dataset (eV per formula unit): 0.13

a = 6.792 Å, b = 8.759 Å, c = 10.260 Å
α = 88.34°, β = 89.97°, γ = 89.77°
Fractional coordinates of all 52 atoms:
Na  0.000  0.000  0.000
Na  0.000  0.003  0.500
Na  0.002  0.497  0.747
Na  0.245  0.666  0.998
Na  0.500  0.496  0.747
Na  0.503  0.499  0.247
Li  0.043  0.466  0.268
Li  0.261  0.661  0.498
Li  0.525  0.023  0.490
Li  0.539  0.029  0.984
Li  0.731  0.849  0.746
Li  0.742  0.845  0.247
Mn  0.256  0.107  0.764
Mn  0.259  0.098  0.262
Mn  0.753  0.393  0.483
Mn  0.755  0.389  0.989
P  0.254  0.333  0.022
P  0.257  0.341  0.515
P  0.748  0.157  0.731
P  0.754  0.155  0.232
C  0.236  0.788  0.248
C  0.254  0.811  0.725
C  0.737  0.708  0.509
C  0.738  0.707  0.009
O  0.071  0.419  0.967
O  0.071  0.431  0.466
O  0.216  0.644  0.225
O  0.238  0.319  0.174
O  0.243  0.855  0.845
O  0.245  0.837  0.366
O  0.249  0.323  0.667
O  0.250  0.668  0.696
O  0.252  0.886  0.149
O  0.268  0.179  0.458
O  0.269  0.915  0.632
O  0.273  0.168  0.969
O  0.435  0.443  0.476
O  0.436  0.432  0.984
O  0.577  0.057  0.788
O  0.577  0.064  0.291
O  0.718  0.846  0.049
O  0.721  0.847  0.549
O  0.724  0.177  0.580
O  0.729  0.170  0.080
O  0.737  0.677  0.386
O  0.745  0.679  0.885
O  0.751  0.318  0.790
O  0.753  0.596  0.096
O  0.755  0.597  0.597
O  0.771  0.320  0.284
O  0.938  0.055  0.264
O  0.938  0.063  0.762

---

Record 10
Crystalline VCrO3 at its relaxed geometry. Source: the Materials Project, functional PBE with a Hubbard U.

Output
Energy of formation (eV per atom): -2.439
Uncorrected energy (eV/cell): -160.1
SG: P1

a = 5.105 Å, b = 5.503 Å, c = 7.504 Å
α = 95.83°, β = 90.06°, γ = 90.04°
Fractional coordinates of all 20 atoms:
V  0.000  0.000  0.000
V  0.001  0.599  0.705
V  0.500  0.095  0.200
V  0.999  0.001  0.501
Cr  0.000  0.601  0.202
Cr  0.499  0.102  0.699
Cr  0.499  0.499  0.502
Cr  0.500  0.495  0.003
O  0.152  0.948  0.253
O  0.153  0.645  0.953
O  0.198  0.301  0.601
O  0.302  0.799  0.602
O  0.348  0.148  0.947
O  0.348  0.448  0.252
O  0.649  0.449  0.753
O  0.650  0.149  0.449
O  0.697  0.795  0.103
O  0.804  0.300  0.102
O  0.846  0.954  0.754
O  0.848  0.647  0.452

---

Record 11
Crystalline NaCoO2 at its relaxed geometry. Source: the Materials Project, functional PBE with a Hubbard U.

Output
Energy of formation (eV per atom): -1.471
Total magnetic moment (μB per formula unit): 0.0
Uncorrected energy (eV/cell): -21.2
SG: R3m

a = 5.743 Å, b = 5.743 Å, c = 5.743 Å
α = 30.48°, β = 30.48°, γ = 30.48°
Fractional coordinates of all 4 atoms:
Na  0.000  0.000  0.000
Co  0.830  0.830  0.830
O  0.229  0.229  0.229
O  0.432  0.432  0.432

---

Record 12
Crystalline Fe3P2H8O8 at its relaxed geometry. Source: the Materials Project, functional PBE with a Hubbard U.

Output
Energy of formation (eV per atom): -1.234
Total magnetic moment (μB per formula unit): 12.0
Uncorrected energy (eV/cell): -116.6
SG: C2/m

a = 8.231 Å, b = 8.231 Å, c = 4.896 Å
α = 99.54°, β = 99.54°, γ = 103.92°
Fractional coordinates of all 21 atoms:
Fe  0.000  0.000  0.000
Fe  0.393  0.607  0.000
Fe  0.607  0.393  0.000
P  0.318  0.318  0.343
P  0.682  0.682  0.657
H  0.093  0.152  0.751
H  0.152  0.093  0.751
H  0.205  0.734  0.933
H  0.266  0.795  0.067
H  0.734  0.205  0.933
H  0.795  0.266  0.067
H  0.848  0.907  0.249
H  0.907  0.848  0.249
O  0.158  0.158  0.304
O  0.255  0.454  0.203
O  0.383  0.383  0.669
O  0.454  0.255  0.203
O  0.546  0.745  0.797
O  0.617  0.617  0.331
O  0.745  0.546  0.797
O  0.842  0.842  0.696